VASP calculation (PBE with a Hubbard U) on a relaxed structure of MnV4CuO12.

It has space group C2 (No. 5), with a = 10.128 Å, b = 9.165 Å, c = 6.037 Å, α = 90.00°, β = 108.30° and γ = 90.00°. Symmetry generates all atoms from Mn at (0.000, 0.000, 0.000), V at (0.198, 0.328, 0.979), V at (0.201, 0.505, 0.485), Cu at (0.000, 0.828, 0.500), O at (0.119, 0.992, 0.405), O at (0.125, 0.835, 0.927), O at (0.139, 0.413, 0.695), O at (0.142, 0.152, 0.962), O at (0.144, 0.421, 0.201) and O at (0.144, 0.680, 0.467).

The formation energy comes out at -2.034 eV per atom. The value obtained for the energy is -7.16 eV/atom. For the density, the calculation gives 3.21 g/cm3. Its spin magnetization is 5.25 μB/cell.